# 1
4
Lattice="1.947 1.124 7.039 -1.947 1.124 7.039 0.000 -2.248 7.039" Properties=species:S:1:pos:R:3 comment="Sr2NCl, optimized geometry, DFT r2SCAN" final_energy_ev_per_atom=-13.034 delta_e_f_ev_per_atom=-1.64 pbc="T T T"
Sr 0.000 0.000 4.865
Sr 0.000 0.000 16.251
N 0.000 0.000 10.558
Cl 0.000 0.000 0.000

***

# 2
6
Lattice="4.096 0.000 0.000 0.000 4.096 0.000 0.000 0.000 6.983" Properties=species:S:1:pos:R:3 comment="ThNCl, optimized geometry, DFT r2SCAN" final_energy_ev_per_atom=-32.006 delta_e_f_ev_per_atom=-2.42 pbc="T T T"
Th 1.024 1.024 1.152
Th 3.072 3.072 5.831
N 1.024 3.072 0.000
N 3.072 1.024 0.000
Cl 1.024 1.024 4.345
Cl 3.072 3.072 2.638

***

# 3
6
Lattice="3.850 0.000 0.000 0.000 3.850 0.000 0.000 0.000 7.524" Properties=species:S:1:pos:R:3 comment="UNCl, optimized geometry, DFT r2SCAN" final_energy_ev_per_atom=-33.744 delta_e_f_ev_per_atom=-2.00 pbc="T T T"
U 0.962 0.962 1.178
U 2.887 2.887 6.346
N 0.962 2.887 0.000
N 2.887 0.962 0.000
Cl 0.962 0.962 4.818
Cl 2.887 2.887 2.706

***

| no. | total magnetization (Bohr magnetons per cell) |
| --- | --- |
| 1 | 0.0 |
| 2 | 0.0 |
| 3 | 4.0 |